{
  "formula": "TiCo3",
  "functional": "GGA-PBE",
  "state": "relaxed",
  "formation_energy_ev_per_fu": -0.90,
  "lattice_angstrom": [[-2.233, 0.131, -3.478], [-0.788, 5.022, 0.694], [4.071, -1.612, -2.674]],
  "species": ["Ti", "Ti", "Co", "Co", "Co", "Co", "Co", "Co"],
  "fractional_positions": [[0.750, 0.667, 0.334], [0.250, 0.333, 0.666], [0.750, 0.163, 0.325], [0.750, 0.162, 0.837], [0.750, 0.675, 0.837], [0.250, 0.837, 0.675], [0.250, 0.838, 0.163], [0.250, 0.325, 0.163]]
}